Density functional theory data (PBE-GGA) for a relaxed BeH8SeO8 crystal.

Lattice parameters (Å, degrees): 12.018 11.531 10.903 90.00 90.00 90.00
Space group Cmce (No. 64)
Symmetry-distinct sites (fractional):
Be  0.000  0.247  0.233 (multiplicity 8)
H  0.068  0.070  0.162 (multiplicity 16)
H  0.068  0.135  0.578 (multiplicity 16)
H  0.141  0.156  0.834 (multiplicity 16)
H  0.146  0.205  0.365 (multiplicity 16)
Se  0.247  0.000  0.000 (multiplicity 8)
O  0.000  0.115  0.187 (multiplicity 8)
O  0.000  0.150  0.629 (multiplicity 8)
O  0.117  0.235  0.806 (multiplicity 16)
O  0.167  0.019  0.875 (multiplicity 16)
O  0.173  0.117  0.483 (multiplicity 16)

Calculated values
For the energy relative to the elements, the calculation gives -1467 meV per atom. Its mass density is 1.970 g/cm3.

=====

Density functional theory data (PBE-GGA) for a relaxed Be4Si2H2O9 crystal.

Lattice parameters (Å, degrees): 8.781 15.401 4.612 90.00 90.00 90.00
Space group Cmc2_1 (No. 36)
Symmetry-distinct sites (fractional):
Be  0.173  0.052  0.000 (multiplicity 8)
Be  0.174  0.280  0.496 (multiplicity 8)
Si  0.176  0.386  0.997 (multiplicity 8)
H  0.000  0.136  0.810 (multiplicity 4)
H  0.000  0.198  0.298 (multiplicity 4)
O  0.000  0.088  0.948 (multiplicity 4)
O  0.000  0.246  0.438 (multiplicity 4)
O  0.000  0.414  0.938 (multiplicity 4)
O  0.209  0.291  0.844 (multiplicity 8)
O  0.210  0.042  0.348 (multiplicity 8)
O  0.212  0.375  0.345 (multiplicity 8)

Calculated values
The calculation puts the piezoelectric modulus e_max at 0.7 C/m2. For the energy relative to the elements, the calculation gives -2847 meV per atom. Its mass density is 2.537 g/cm3.

=====

Density functional theory data (PBE-GGA) for a relaxed RbBeH3 crystal.

Lattice parameters (Å, degrees): 7.353 5.893 9.403 90.00 106.18 90.00
Space group P2_1/c (No. 14)
Symmetry-distinct sites (fractional):
Rb  0.240  0.246  0.223 (multiplicity 4)
Be  0.258  0.747  0.496 (multiplicity 4)
H  0.144  0.601  0.391 (multiplicity 4)
H  0.240  0.518  0.976 (multiplicity 4)
H  0.381  0.657  0.625 (multiplicity 4)

Calculated values
For the energy relative to the elements, the calculation gives -193 meV per atom. Its mass density is 1.655 g/cm3.

=====

Density functional theory data (PBE-GGA) for a relaxed HfBe crystal.

Lattice parameters (Å, degrees): 3.339 10.032 3.739 90.00 90.00 90.00
Space group Cmcm (No. 63)
Symmetry-distinct sites (fractional):
Hf  0.000  0.150  0.250 (multiplicity 4)
Be  0.000  0.438  0.250 (multiplicity 4)

Calculated values
For the energy relative to the elements, the calculation gives -79 meV per atom. Its mass density is 9.946 g/cm3.

=====

Density functional theory data (PBE-GGA) for a relaxed HfBe5 crystal.

Lattice parameters (Å, degrees): 4.5259 4.5259 3.4372 90.00 90.00 120.00
Space group P6/mmm (No. 191)
Symmetry-distinct sites (fractional):
Hf  0.0000  0.0000  0.0000 (multiplicity 1)
Be  0.0000  0.5000  0.5000 (multiplicity 3)
Be  0.3333  0.6667  0.0000 (multiplicity 2)

Calculated values
For the energy relative to the elements, the calculation gives -229 meV per atom. Its mass density is 6.088 g/cm3.

=====

Density functional theory data (PBE-GGA) for a relaxed HfBe2 crystal.

Lattice parameters (Å, degrees): 3.7935 3.7935 3.1624 90.00 90.00 120.00
Space group P6/mmm (No. 191)
Symmetry-distinct sites (fractional):
Hf  0.0000  0.0000  0.0000 (multiplicity 1)
Be  0.3333  0.6667  0.5000 (multiplicity 2)

Calculated values
For the energy relative to the elements, the calculation gives -171 meV per atom. Its mass density is 8.280 g/cm3.

=====

Density functional theory data (PBE-GGA) for a relaxed Hf6Be15Ni8 crystal.

Lattice parameters (Å, degrees): 10.951 10.951 10.951 90.00 90.00 90.00
Space group Fm-3m (No. 225)
Symmetry-distinct sites (fractional):
Hf  0.000  0.000  0.209 (multiplicity 24)
Be  0.000  0.000  0.500 (multiplicity 4)
Be  0.000  0.250  0.250 (multiplicity 24)
Be  0.177  0.177  0.177 (multiplicity 32)
Ni  0.124  0.124  0.376 (multiplicity 32)

Calculated values
For the energy relative to the elements, the calculation gives -413 meV per atom. Its mass density is 8.475 g/cm3.

=====

Density functional theory data (PBE-GGA) for a relaxed Hf6Be15Pd8 crystal.

Lattice parameters (Å, degrees): 11.409 11.409 11.409 90.00 90.00 90.00
Space group Fm-3m (No. 225)
Symmetry-distinct sites (fractional):
Hf  0.000  0.000  0.197 (multiplicity 24)
Be  0.000  0.000  0.500 (multiplicity 4)
Be  0.000  0.250  0.250 (multiplicity 24)
Be  0.173  0.173  0.173 (multiplicity 32)
Pd  0.125  0.125  0.375 (multiplicity 32)

Calculated values
For the energy relative to the elements, the calculation gives -481 meV per atom. Its mass density is 9.201 g/cm3.

=====

Density functional theory data (PBE-GGA) for a relaxed HfBeSi crystal.

Lattice parameters (Å, degrees): 3.7080 3.7080 7.1347 90.00 90.00 120.00
Space group P6_3/mmc (No. 194)
Symmetry-distinct sites (fractional):
Hf  0.0000  0.0000  0.0000 (multiplicity 2)
Be  0.3333  0.6667  0.2500 (multiplicity 2)
Si  0.3333  0.6667  0.7500 (multiplicity 2)

Calculated values
For the energy relative to the elements, the calculation gives -631 meV per atom. Its mass density is 8.428 g/cm3.

=====

Density functional theory data (PBE-GGA) for a relaxed Be2HgTe crystal.

Lattice parameters (Å, degrees): 6.679 6.679 6.679 90.00 90.00 90.00
Space group Fm-3m (No. 225)
Symmetry-distinct sites (fractional):
Be  0.250  0.250  0.250 (multiplicity 8)
Hg  0.000  0.000  0.000 (multiplicity 4)
Te  0.000  0.000  0.500 (multiplicity 4)

Calculated values
For the energy relative to the elements, the calculation gives 702 meV per atom. Its mass density is 7.719 g/cm3.

=====

Density functional theory data (PBE-GGA) for a relaxed HoBe13 crystal.

Lattice parameters (Å, degrees): 10.157 10.157 10.157 90.00 90.00 90.00
Space group Fm-3c (No. 226)
Symmetry-distinct sites (fractional):
Ho  0.250  0.250  0.250 (multiplicity 8)
Be  0.000  0.000  0.000 (multiplicity 8)
Be  0.000  0.114  0.177 (multiplicity 96)

Calculated values
For the energy relative to the elements, the calculation gives -186 meV per atom. Its mass density is 3.576 g/cm3.

=====

Density functional theory data (PBE-GGA) for a relaxed HoBeO3 crystal.

Lattice parameters (Å, degrees): 3.563 3.563 3.563 90.00 90.00 90.00
Space group Pm-3m (No. 221)
Symmetry-distinct sites (fractional):
Ho  0.000  0.000  0.000 (multiplicity 1)
Be  0.500  0.500  0.500 (multiplicity 1)
O  0.000  0.500  0.500 (multiplicity 3)

Calculated values
For the energy relative to the elements, the calculation gives -2892 meV per atom. Its mass density is 8.149 g/cm3.

=====

Density functional theory data (PBE-GGA) for a relaxed Li4Be3P3IO12 crystal.

Lattice parameters (Å, degrees): 8.245 8.245 8.245 90.00 90.00 90.00
Space group P-43n (No. 218)
Symmetry-distinct sites (fractional):
Li  0.193  0.193  0.193 (multiplicity 8)
Be  0.000  0.250  0.500 (multiplicity 6)
P  0.000  0.500  0.250 (multiplicity 6)
I  0.000  0.000  0.000 (multiplicity 2)
O  0.075  0.362  0.646 (multiplicity 24)

Calculated values
For the energy relative to the elements, the calculation gives -2790 meV per atom. Its mass density is 2.765 g/cm3.

=====

Density functional theory data (PBE-GGA) for a relaxed La3BeInS7 crystal.

Lattice parameters (Å, degrees): 10.2453 10.2453 6.1531 90.00 90.00 120.00
Space group P6_3 (No. 173)
Symmetry-distinct sites (fractional):
La  0.1365  0.3934  0.0000 (multiplicity 6)
Be  0.3333  0.6667  0.4125 (multiplicity 2)
In  0.0000  0.0000  0.2659 (multiplicity 2)
S  0.0816  0.2382  0.5213 (multiplicity 6)
S  0.1148  0.5948  0.2807 (multiplicity 6)
S  0.3333  0.6667  0.7612 (multiplicity 2)

Calculated values
For the energy relative to the elements, the calculation gives -1884 meV per atom. Its mass density is 4.542 g/cm3.

=====

Density functional theory data (PBE-GGA) for a relaxed BeInSi2 crystal.

Lattice parameters (Å, degrees): 6.427 6.427 6.427 90.00 90.00 90.00
Space group F-43m (No. 216)
Symmetry-distinct sites (fractional):
Be  0.000  0.000  0.000 (multiplicity 4)
In  0.250  0.250  0.750 (multiplicity 4)
Si  0.000  0.000  0.500 (multiplicity 4)
Si  0.250  0.250  0.250 (multiplicity 4)

Calculated values
For the energy relative to the elements, the calculation gives 747 meV per atom. Its mass density is 4.503 g/cm3.